No. 1
# Ca4MgAs4O27 PBE optimized geometry
# Energy with MP2020 corrections in eV per atom: -5.584
# E_tot in eV/atom: -5.4634
data_Ca4MgAs4O27
_chemical_formula_sum 'Ca8 Mg2 As8 O54'
_space_group_name_H-M_alt 'P -1'
_space_group_IT_number 2
_cell_length_a 6.6927
_cell_length_b 12.5373
_cell_length_c 13.4097
_cell_angle_alpha 90.18
_cell_angle_beta 103.42
_cell_angle_gamma 95.03
loop_
_space_group_symop_operation_xyz
'x,y,z'
'-x,-y,-z'
loop_
_atom_site_label
_atom_site_fract_x
_atom_site_fract_y
_atom_site_fract_z
Ca1 0.0685 0.4812 0.3815
Ca2 0.2357 0.5862 0.0898
Ca3 0.2497 0.2823 0.9825
Ca4 0.4079 0.3596 0.6534
Mg1 0.2604 0.0620 0.8553
As1 0.0730 0.7511 0.2915
As2 0.2694 0.8548 0.0095
As3 0.2970 0.5215 0.8658
As4 0.4406 0.6119 0.6046
O1 0.0167 0.9480 0.6932
O2 0.0480 0.3382 0.6397
O3 0.0691 0.1414 0.3010
O4 0.1046 0.1944 0.8034
O5 0.1072 0.7403 0.0089
O6 0.1261 0.4581 0.9315
O7 0.1281 0.2986 0.4480
O8 0.1533 0.5864 0.7637
O9 0.1622 0.0821 0.9952
O10 0.1735 0.1762 0.1216
O11 0.2048 0.8609 0.3723
O12 0.2061 0.8376 0.5016
O13 0.2123 0.9506 0.0935
O14 0.2309 0.4083 0.1708
O15 0.2343 0.5187 0.5545
O16 0.2533 0.6849 0.2499
O17 0.2573 0.9059 0.8905
O18 0.2628 0.0942 0.5459
O19 0.3322 0.1422 0.6287
O20 0.3452 0.8946 0.5570
O21 0.3706 0.6975 0.6898
O22 0.3774 0.4725 0.3356
O23 0.4209 0.4229 0.8222
O24 0.4532 0.6089 0.9528
O25 0.4682 0.9833 0.7923
O26 0.4786 0.3202 0.4921
O27 0.4836 0.1748 0.9324

---

No. 2
# Ca3Mg2As3O12 PBE optimized geometry
# Energy with MP2020 corrections in eV per atom: -6.734
# E_tot in eV/atom: -6.3218
data_Ca3Mg2As3O12
_chemical_formula_sum 'Ca24 Mg16 As24 O96'
_space_group_name_H-M_alt 'I a -3 d'
_space_group_IT_number 230
_space_group_name_Hall '-I 4bd 2c 3'
_cell_length_a 12.6029
_cell_length_b 12.6029
_cell_length_c 12.6029
_cell_angle_alpha 90.00
_cell_angle_beta 90.00
_cell_angle_gamma 90.00
loop_
_atom_site_label
_atom_site_fract_x
_atom_site_fract_y
_atom_site_fract_z
Ca1 0.0000 0.2500 0.1250
Mg1 0.0000 0.0000 0.0000
As1 0.0000 0.2500 0.3750
O1 0.0350 0.0522 0.6559

---

No. 3
# Ca14MnAs11 PBE optimized geometry
# E_tot in eV/atom: -4.5306
data_Ca14MnAs11
_chemical_formula_sum 'Ca112 Mn8 As88'
_space_group_name_H-M_alt 'I b a 2'
_space_group_IT_number 45
_cell_length_a 15.7599
_cell_length_b 21.0311
_cell_length_c 15.7581
_cell_angle_alpha 90.00
_cell_angle_beta 90.00
_cell_angle_gamma 90.00
loop_
_space_group_symop_operation_xyz
'x,y,z'
'-x,-y,z'
'-x,y,z+1/2'
'x,-y,z+1/2'
'x+1/2,y+1/2,z+1/2'
'-x+1/2,-y+1/2,z+1/2'
'-x+1/2,y+1/2,z'
'x+1/2,-y+1/2,z'
loop_
_atom_site_label
_atom_site_fract_x
_atom_site_fract_y
_atom_site_fract_z
Ca1 0.0000 0.0000 0.0000
Ca2 0.0000 0.5000 0.2045
Ca3 0.0703 0.3436 0.1968
Ca4 0.0713 0.1571 0.0082
Ca5 0.0717 0.0778 0.3079
Ca6 0.0756 0.4214 0.8950
Ca7 0.0925 0.4074 0.5315
Ca8 0.0962 0.0939 0.6731
Ca9 0.1022 0.2513 0.6025
Ca10 0.1215 0.2457 0.3759
Ca11 0.1230 0.2558 0.8284
Ca12 0.2059 0.3275 0.0304
Ca13 0.2070 0.1710 0.1777
Ca14 0.2264 0.0042 0.4807
Ca15 0.2261 0.4943 0.7253
Mn1 0.2503 0.1250 0.8526
As1 0.0254 0.2032 0.2219
As2 0.0264 0.2966 0.9813
As3 0.1143 0.0616 0.8568
As4 0.1138 0.4384 0.3478
As5 0.1150 0.3752 0.7171
As6 0.1169 0.1252 0.4852
As7 0.1201 0.0465 0.1282
As8 0.1207 0.4532 0.0765
As9 0.2438 0.1250 0.3584
As10 0.2450 0.3120 0.4889
As11 0.2459 0.1889 0.7170

---

No. 4
# CaMn2As2 PBE optimized geometry
# E_tot in eV/atom: -6.4008
data_CaMn2As2
_chemical_formula_sum 'Ca1 Mn2 As2'
_space_group_name_H-M_alt 'P -3 m 1'
_space_group_IT_number 164
_space_group_name_Hall '-P 3 2"'
_cell_length_a 4.0003
_cell_length_b 4.0003
_cell_length_c 6.9955
_cell_angle_alpha 90.00
_cell_angle_beta 90.00
_cell_angle_gamma 120.00
loop_
_atom_site_label
_atom_site_fract_x
_atom_site_fract_y
_atom_site_fract_z
Ca1 0.0000 0.0000 0.0000
Mn1 0.3333 0.6667 0.6159
As1 0.3333 0.6667 0.2709

---

No. 5
# Na2CaAs4O12 PBE optimized geometry
# Energy with MP2020 corrections in eV per atom: -6.385
# E_tot in eV/atom: -5.9509
data_Na2CaAs4O12
_chemical_formula_sum 'Na4 Ca2 As8 O24'
_space_group_name_H-M_alt 'P 4/n b m'
_space_group_IT_number 125
_cell_length_a 10.1312
_cell_length_b 10.1312
_cell_length_c 5.2396
_cell_angle_alpha 90.00
_cell_angle_beta 90.00
_cell_angle_gamma 90.00
loop_
_space_group_symop_operation_xyz
'x,y,z'
'-x,-y,-z'
'-y+1/2,x,z'
'y+1/2,-x,-z'
'-x+1/2,-y+1/2,z'
'x+1/2,y+1/2,-z'
'y,-x+1/2,z'
'-y,x+1/2,-z'
'x,-y+1/2,-z'
'-x,y+1/2,z'
'-y+1/2,-x+1/2,-z'
'y+1/2,x+1/2,z'
'-x+1/2,y,-z'
'x+1/2,-y,z'
'y,x,-z'
'-y,-x,z'
loop_
_atom_site_label
_atom_site_fract_x
_atom_site_fract_y
_atom_site_fract_z
Na1 0.0000 0.0000 0.0000
Ca1 0.2500 0.2500 0.0000
As1 0.0229 0.7500 0.5000
O1 0.0556 0.1784 0.2561
O2 0.1341 0.6341 0.6519

---

No. 6
# Ca2Ni12As7 PBE optimized geometry
# E_tot in eV/atom: -5.5172
data_Ca2Ni12As7
_chemical_formula_sum 'Ca2 Ni12 As7'
_space_group_name_H-M_alt 'P -6'
_space_group_IT_number 174
_cell_length_a 9.3895
_cell_length_b 9.3895
_cell_length_c 3.8194
_cell_angle_alpha 90.00
_cell_angle_beta 90.00
_cell_angle_gamma 120.00
loop_
_space_group_symop_operation_xyz
'x,y,z'
'-x+y,-x,-z'
'-y,x-y,z'
'x,y,-z'
'-x+y,-x,z'
'-y,x-y,-z'
loop_
_atom_site_label
_atom_site_fract_x
_atom_site_fract_y
_atom_site_fract_z
Ca1 0.0000 0.0000 0.0000
Ca2 0.3333 0.6667 0.5000
Ni1 0.0483 0.7701 0.5000
Ni2 0.0904 0.3815 0.0000
Ni3 0.4565 0.2376 0.0000
Ni4 0.5146 0.0530 0.5000
As1 0.0713 0.6315 0.0000
As2 0.2620 0.0461 0.5000
As3 0.6667 0.3333 0.5000

---

No. 7
# Ca5Ni9As7 PBE optimized geometry
# E_tot in eV/atom: -5.1461
data_Ca5Ni9As7
_chemical_formula_sum 'Ca5 Ni9 As7'
_space_group_name_H-M_alt 'P -6'
_space_group_IT_number 174
_cell_length_a 9.9659
_cell_length_b 9.9659
_cell_length_c 3.9914
_cell_angle_alpha 90.00
_cell_angle_beta 90.00
_cell_angle_gamma 120.00
loop_
_space_group_symop_operation_xyz
'x,y,z'
'-x+y,-x,-z'
'-y,x-y,z'
'x,y,-z'
'-x+y,-x,z'
'-y,x-y,-z'
loop_
_atom_site_label
_atom_site_fract_x
_atom_site_fract_y
_atom_site_fract_z
Ca1 0.0000 0.0000 0.0000
Ca2 0.1014 0.5556 0.5000
Ca3 0.6667 0.3333 0.5000
Ni1 0.1625 0.3622 0.0000
Ni2 0.2776 0.0629 0.5000
Ni3 0.3787 0.2914 0.0000
As1 0.0493 0.8082 0.5000
As2 0.3333 0.6667 0.0000
As3 0.4298 0.0913 0.0000